No. 1
The following is a PBE calculation of crystalline Dy2Al3Si2 at its relaxed geometry, from the Materials Project database.

The structure in POSCAR format:
```
Dy2Al3Si2
1.0
-4.0404 0.0000 0.0000
2.0202 -5.1097 0.0000
0.0000 1.2688 6.5068
Dy Al Si
2 3 2
Cartesian
0.0000 -3.0264 4.4070
-2.0202 -0.8145 2.0999
-2.0202 -0.8893 5.6380
0.0000 0.0000 0.0000
0.0000 -2.9516 0.8688
-2.0202 -3.7027 2.3411
0.0000 -0.1382 4.1657
```

Total energy, eV per formula unit: -35.14
Crystal system: monoclinic


No. 2
The following is a PBE calculation of crystalline BiF3 at its relaxed geometry, from the Materials Project database.

The structure in POSCAR format:
```
BiF3
1.0
5.7637 0.0000 0.0000
0.0000 5.7637 0.0000
0.0000 0.0000 5.7637
Bi F
4 12
Cartesian
1.4546 4.3091 1.4546
1.4546 1.4546 4.3091
4.3091 4.3091 4.3091
4.3091 1.4546 1.4546
4.2944 1.4693 4.2944
0.0000 0.0000 2.8818
1.4693 1.4693 1.4693
1.4693 4.2944 4.2944
0.0000 2.8818 0.0000
2.8818 0.0000 2.8818
2.8818 2.8818 0.0000
2.8818 0.0000 0.0000
4.2944 4.2944 1.4693
0.0000 2.8818 2.8818
0.0000 0.0000 0.0000
2.8818 2.8818 2.8818
```

Total energy, eV per formula unit: -18.28
Crystal system: cubic


No. 3
The following is a PBE calculation of crystalline MnGaFe2 at its relaxed geometry, from the Materials Project database.

The structure in POSCAR format:
```
MnGaFe2
1.0
3.5989 0.0000 0.0000
0.0000 3.5989 0.0000
0.0000 0.0000 3.8239
Mn Ga Fe
1 1 2
Cartesian
0.0000 0.0000 0.0000
1.7995 1.7995 0.0000
0.0000 1.7995 1.9119
1.7995 0.0000 1.9119
```

Total energy, eV per formula unit: -29.44
Crystal system: tetragonal


No. 4
The following is a PBE calculation of crystalline CsZnPO4 at its relaxed geometry, from the Materials Project database.

The structure in POSCAR format:
```
CsZnPO4
1.0
5.5865 0.0000 0.0000
0.0000 9.1953 0.0000
0.0000 0.0000 9.7702
Cs Zn P O
4 4 4 16
Cartesian
1.3966 4.4852 6.7473
4.1899 4.7101 3.0229
1.3966 9.0828 7.9080
4.1899 0.1125 1.8622
1.3966 6.0911 0.9349
4.1899 3.1042 8.8353
1.3966 1.4935 3.9502
4.1899 7.7018 5.8200
1.3966 2.6432 0.7096
4.1899 6.5521 9.0606
1.3966 7.2409 4.1755
4.1899 1.9544 5.5946
5.4442 6.9671 0.1218
2.6509 2.2282 9.6484
2.9356 2.3695 4.7633
0.1423 6.8258 5.0069
0.1423 2.2282 9.6484
2.9356 6.9671 0.1218
2.6509 6.8258 5.0069
5.4442 2.3695 4.7633
1.3966 1.8005 2.0043
4.1899 7.3948 7.7659
1.3966 6.3982 2.8808
4.1899 2.7971 6.8894
4.1899 0.4503 5.9137
1.3966 8.7450 3.8565
4.1899 5.0479 8.7416
1.3966 4.1474 1.0286
```

Total energy, eV per formula unit: -42.08
E above lowest polymorph, eV per formula unit: 0.10
Crystal system: orthorhombic


No. 5
The following is a PBE calculation of crystalline Se2S2O7 at its relaxed geometry, from the Materials Project database.

The structure in POSCAR format:
```
Se2S2O7
1.0
-3.6293 3.9939 -2.2666
-6.0527 -3.7256 3.1267
-3.1231 6.3452 16.1815
Se S O
8 8 28
Cartesian
-10.1826 3.2681 10.1954
-4.4389 6.7986 14.7777
-2.6225 3.3455 6.8462
-8.3661 -0.1851 2.2639
-6.4940 0.3040 10.3661
-3.2075 1.4400 -0.4522
-6.3111 6.3096 6.6755
-9.5976 5.1736 17.4938
-6.3510 4.6220 9.9523
-6.5868 3.5918 16.0723
-6.4540 1.9915 7.0893
-6.2182 3.0217 0.9693
-6.7257 7.3381 10.9511
-8.3189 3.1941 13.7578
-6.0793 -0.7246 6.0905
-4.4861 3.4194 3.2838
-5.4665 5.0761 8.8697
-7.6953 3.3843 17.0150
-7.3385 1.5375 8.1719
-5.1097 3.2292 0.0266
-5.8732 3.4617 10.6594
-9.0051 6.8876 14.1533
-6.9318 3.1519 6.3822
-3.7999 -0.2741 2.8883
-7.7653 4.6251 9.5821
-6.4404 4.9840 15.6508
-5.0397 1.9885 7.4596
-6.3647 1.6296 1.3908
-6.2090 5.8127 11.1601
-7.0472 2.7514 14.6658
-6.5961 0.8009 5.8816
-5.7578 3.8621 2.3758
-6.1497 7.8369 9.7102
-9.4700 3.3283 14.6395
-6.6553 -1.2234 7.3314
-3.3350 3.2853 2.4021
-6.2575 8.0050 12.1588
-8.4115 2.1139 12.7847
-6.5476 -1.3915 4.8828
-4.3935 4.4997 4.2569
-4.5619 3.3397 13.1619
-8.0032 4.4640 13.0955
-8.2431 3.2738 3.8797
-4.8018 2.1496 3.9462
```

Total energy, eV per formula unit: -58.76
Crystal system: monoclinic


No. 6
The following is a PBE calculation of crystalline YBiO2F2 at its relaxed geometry, from the Materials Project database.

The structure in POSCAR format:
```
YBiO2F2
1.0
3.9285 0.0000 0.0000
0.0000 3.9285 0.0000
0.0000 0.0000 5.6148
Y Bi O F
1 1 2 2
Cartesian
0.0000 0.0000 0.0000
1.9642 1.9642 2.8074
0.0000 1.9642 4.1866
1.9642 0.0000 1.4283
0.0000 1.9642 1.2331
1.9642 0.0000 4.3817
```

Total energy, eV per formula unit: -40.65
Crystal system: tetragonal


No. 7
The following is a PBE calculation of crystalline CsCrC6 at its relaxed geometry, from the Materials Project database.

The structure in POSCAR format:
```
CsCrC6
1.0
5.1739 0.0000 0.0000
0.0000 5.1739 0.0000
0.0000 0.0000 5.1739
Cs Cr C
1 1 6
Cartesian
0.0000 0.0000 0.0000
2.5869 2.5869 2.5869
0.6337 2.5869 2.5869
4.5402 2.5869 2.5869
2.5869 0.6337 2.5869
2.5869 2.5869 0.6337
2.5869 4.5402 2.5869
2.5869 2.5869 4.5402
```

Total energy, eV per formula unit: -58.10
Crystal system: cubic


No. 8
The following is a PBE calculation of crystalline Pr2Sb at its relaxed geometry, from the Materials Project database.

The structure in POSCAR format:
```
Pr2Sb
1.0
-2.3084 2.3084 8.9722
2.3084 -2.3084 8.9722
2.3084 2.3084 -8.9722
Pr Sb
4 2
Cartesian
2.3084 0.0000 0.0000
0.0000 2.3084 0.0000
0.0000 0.0000 12.1992
0.0000 0.0000 5.7451
0.0000 0.0000 15.4685
0.0000 0.0000 2.4759
```

Total energy, eV per formula unit: -16.24
Crystal system: tetragonal


No. 9
The following is a PBE calculation of crystalline K3SmB2O6 at its relaxed geometry, from the Materials Project database.

The structure in POSCAR format:
```
K3SmB2O6
1.0
-5.3052 -4.6903 -1.2998
5.9020 -5.5235 -4.1575
2.1247 -5.1266 9.8271
K Sm B O
12 4 8 24
Cartesian
-0.0393 -6.0901 2.0546
0.3724 -4.7406 5.6169
3.8316 -8.7287 5.8889
-1.1101 -6.6117 -1.5192
5.3754 -6.9387 2.9557
2.7608 -9.2503 2.3151
-0.3530 -9.5948 -3.6718
2.3491 -10.5999 -1.2471
2.2616 -7.2832 -3.0312
-2.6539 -8.4017 1.4140
3.0745 -5.7457 8.0415
0.4599 -8.0572 7.4009
-0.2228 -2.7352 0.8099
-0.3515 -9.0115 4.0439
2.9443 -12.6052 3.5599
3.0730 -6.3289 0.3258
5.0002 -8.2653 -0.5524
0.3117 -8.7381 0.3507
1.5245 -4.2376 -0.9003
2.4098 -6.6023 4.0191
5.9301 -10.7376 4.5733
-3.2086 -4.6028 -0.2036
1.1970 -11.1028 5.2701
-2.2787 -7.0751 4.9221
1.9749 -12.1225 5.7744
1.3240 -7.8911 -0.1149
2.3934 -5.0176 -1.6325
-1.8956 -7.1419 3.6000
1.3975 -7.4493 4.4846
-3.9075 -3.6164 -0.9103
2.6588 -6.5030 2.6446
0.0627 -8.8374 1.7251
6.4807 -9.4585 4.4330
0.7466 -3.2180 -1.4047
6.6290 -11.7240 5.2800
0.3281 -10.3229 6.0022
4.6920 -11.0399 3.9947
0.0121 -3.6305 3.0814
4.4052 -7.3449 -1.4453
1.4219 -4.5052 0.4840
2.7094 -11.7099 1.2884
-0.4647 -9.4725 -0.5531
4.6171 -8.1985 0.7698
1.2996 -10.8352 3.8857
-3.7592 -5.8819 -0.0632
3.1862 -5.8679 4.9229
-1.9705 -4.3005 0.3750
-1.6837 -7.9955 5.8151
```

Total energy, eV per formula unit: -80.80
Crystal system: orthorhombic


No. 10
The following is a PBE calculation of crystalline Na6CaHf3Si4S2O24 at its relaxed geometry, from the Materials Project database.

The structure in POSCAR format:
```
Na6CaHf3Si4S2O24
1.0
-8.6128 -3.2888 -0.2909
5.0722 0.3078 -7.6772
7.8981 -21.0858 4.4321
Na Ca Hf Si S O
18 3 9 12 6 72
Cartesian
-0.7864 -19.1481 0.3911
2.6012 -17.1046 3.0604
3.4649 -13.3572 -0.1057
7.8667 -11.8960 -2.8838
3.9796 -14.3230 -5.0011
2.8311 -2.5297 -7.2922
-1.5398 -3.7783 -4.9460
2.2403 -1.7408 -2.2671
5.9765 -20.5070 1.7531
-3.6060 -11.7602 -0.6860
0.6553 -9.7843 1.5294
0.6110 -10.8847 -3.5913
8.9259 -10.0593 -5.4575
12.9230 -20.7537 -3.1957
2.4979 -19.6823 1.1113
-1.4879 -8.9876 -1.3081
1.7919 -4.3644 -4.4839
5.4186 -15.2074 -2.3058
-0.7833 -10.3615 -6.4050
1.4801 -16.5570 0.2917
-2.6390 -5.8732 -1.9283
6.8107 -18.0413 3.6799
-3.4523 -16.9717 2.5770
1.1367 -3.0808 0.6427
3.5992 -22.8402 1.6918
-0.1408 -12.1497 -0.6548
0.7378 -1.1910 -5.1647
4.5617 -11.8007 -2.9943
3.0298 -7.5820 -3.8114
6.9448 -18.0860 -1.6496
4.9576 -16.7109 0.9481
4.8913 -17.8454 -4.4871
1.6309 -13.5380 2.2480
2.0748 -14.2693 -2.5017
-4.4435 -4.7160 -4.7131
-4.8876 -3.9392 -0.0404
-0.8538 -2.8200 -2.3419
8.8529 -19.2605 1.1410
9.2375 -20.0994 -3.4759
2.8362 -10.5366 -5.7472
2.3185 -9.8141 -1.1581
6.3173 -8.7339 -3.1771
4.4416 -5.9692 -6.5794
-0.4216 -7.3529 -4.4844
3.4522 -5.2376 -1.2418
9.4982 -15.6623 -2.1707
-2.0065 -15.3660 -0.2258
5.2263 -21.1705 -1.2283
5.5972 -6.8531 -6.3489
-0.3158 -8.7651 -4.8942
3.4885 -6.3980 -0.3357
5.7585 -17.5579 2.1182
1.8369 -19.9571 -2.8906
4.3292 -19.3587 -4.2597
3.5752 -16.8346 -4.6925
4.9845 -15.1215 1.4831
9.4634 -14.5113 -3.1751
-1.1413 -6.5647 -5.5553
2.4798 -4.2111 -0.7174
4.9115 -4.5386 -6.7259
-0.8482 -16.2703 -0.1982
1.3927 -15.1107 1.9950
2.2503 -15.2952 -1.2942
-4.1895 -5.7218 -3.5054
-3.5617 -4.7968 -0.2105
-1.1998 -4.3480 -2.6298
-2.2225 -1.8790 -2.2724
-4.1793 -3.1491 -4.2501
-5.0558 -2.9014 -1.3343
0.9937 -12.6508 0.9831
0.8826 -13.1747 -2.1033
-1.6140 -13.9501 -0.2811
6.4096 -22.0308 -1.1292
8.6609 -20.8049 0.6516
9.2314 -21.3120 -2.3865
3.5244 -11.5004 -4.6008
3.3859 -10.9951 -1.5596
5.9453 -10.3331 -3.0665
4.9073 -7.8750 -3.2978
2.9659 -8.9818 -5.2065
2.2737 -8.6880 -2.3632
8.1100 -18.3019 0.0103
8.1370 -18.9539 -3.0047
5.6715 -19.7279 -1.3161
7.3146 -8.5539 -4.4389
1.3350 -11.0947 -5.9629
2.7130 -9.2740 0.3095
8.0319 -19.2115 2.5936
10.7688 -19.4642 -3.5708
4.4368 -21.5712 -2.4171
-2.8765 -15.5211 0.9868
3.2130 -13.0400 2.3716
1.5730 -14.9007 -3.9525
-3.5175 -4.9457 -6.0952
-6.3353 -4.7794 -0.0192
-0.0487 -2.5435 -0.8768
0.7405 -18.1491 1.8542
3.4856 -17.3511 0.8795
1.1473 -18.4806 -1.1231
-1.1132 -7.2792 -3.1979
-3.8043 -7.9856 -1.6609
-1.3511 -6.7348 -0.0885
4.3934 -21.2706 0.0031
1.7918 -22.0953 1.0651
3.7713 -20.9745 2.7015
-1.3553 -10.9523 0.5574
0.7909 -10.4453 -1.1204
-1.5878 -11.5706 -2.0566
0.1985 -2.3700 -3.5274
2.6232 -1.7768 -4.9164
0.2916 -2.8943 -6.2527
5.9915 -12.9403 -3.9593
3.5995 -13.6238 -2.7000
5.7716 -12.4847 -1.1415
3.5493 -6.0012 -5.3526
0.9749 -6.7678 -4.3869
2.9176 -5.6798 -2.5910
5.8499 -16.7183 -0.4479
8.0704 -16.2062 -2.2171
5.7659 -17.3280 -3.1786
```

Total energy, eV per formula unit: -289.42
Crystal system: triclinic


No. 11
The following is a PBE calculation of crystalline SrMg2In2 at its relaxed geometry, from the Materials Project database.

The structure in POSCAR format:
```
SrMg2In2
1.0
-2.3473 2.3473 6.5086
2.3473 -2.3473 6.5086
2.3473 2.3473 -6.5086
Sr Mg In
1 2 2
Cartesian
0.0000 0.0000 0.0000
0.0000 2.3473 3.2543
2.3473 0.0000 3.2543
0.0000 0.0000 5.0729
0.0000 0.0000 7.9442
```

Total energy, eV per formula unit: -11.76
Crystal system: tetragonal


No. 12
The following is a PBE calculation of crystalline CrN2 at its relaxed geometry, from the Materials Project database.

The structure in POSCAR format:
```
CrN2
1.0
-8.4766 -2.6926 2.2918
3.2981 -8.1670 2.6034
1.4126 3.5747 9.4245
Cr N
12 24
Cartesian
-5.7843 -0.7707 9.4034
2.0184 -6.5141 4.9163
-2.6011 -5.1484 7.8387
-1.8711 -3.9238 1.7687
-5.2424 -3.7482 8.4511
0.9624 -4.8378 2.4383
-5.2807 -6.4328 6.7271
1.7069 -0.3658 8.8746
-3.2018 0.7542 10.4383
-0.0500 -6.7379 7.3116
-1.2955 -6.7455 10.2492
-2.6625 -1.0256 2.7885
-5.9774 -5.1142 7.5361
2.7133 -0.9008 10.1315
-6.4225 -6.3811 5.3354
2.4521 -1.4212 7.6200
-4.0833 -1.3598 1.9234
-0.1843 -7.1949 9.0483
-0.0640 -6.6090 11.5561
-3.4974 -0.1583 4.1279
-3.4440 -3.6973 8.1492
-0.8394 -4.8971 2.7179
-5.1292 -8.1442 7.3405
1.5522 1.3372 8.2388
-2.0963 -0.6468 10.8171
-1.1521 -5.3284 6.9552
-2.7241 -7.7123 10.8431
-1.2306 -0.0503 2.2170
-5.5269 -2.0909 8.2150
1.3368 -6.2675 3.2744
-3.6182 -6.0884 6.6971
0.1344 -0.4826 9.5045
-4.6615 -0.0922 10.6283
1.3198 -6.1191 6.5217
-2.1909 -5.4812 9.5540
-1.8571 -2.5174 2.8837
```

Total energy, eV per formula unit: -24.97
Crystal system: tetragonal